The following is a PBE calculation of a relaxed structure of La3InB, from the Materials Project database.

Summary:
E_form (eV per atom): -0.17

abc: 5.3289 5.3289 5.3289
angles: 90.00 90.00 90.00
Last column: nearest neighbours and their distance in Å.
Space group Pm-3m (No. 221)
Asymmetric unit:
La1 0.0000 0.0000 0.5000 x3  2 B 2.66
In1 0.5000 0.5000 0.5000 x1  12 La 3.77
B1 0.0000 0.0000 0.0000 x1  6 La 2.66



The following is a PBE calculation of a relaxed structure of InBN2, from the Materials Project database.

Summary:
Corrected total energy (MP2020 scheme) (eV for the cell shown): -83.8
E_form (eV per atom): -0.46

abc: 3.4602 3.4602 14.8323
angles: 90.00 90.00 120.00
Last column: nearest neighbours and their distance in Å.
Space group R-3m (No. 166, hexagonal axes)
Asymmetric unit:
In1 0.0000 0.0000 0.0000 x3  6 N 2.30
B1 0.0000 0.0000 0.5000 x3  2 N 1.34
N1 0.0000 0.0000 0.4096 x6  1 B 1.34



The following is a PBE calculation of a relaxed structure of InBN2, from the Materials Project database.

Summary:
Corrected total energy (MP2020 scheme) (eV for the cell shown): -55.8
E_form (eV per atom): -0.45

abc: 3.4586 3.4586 9.8899
angles: 90.00 90.00 120.00
Last column: nearest neighbours and their distance in Å.
Space group P6_3/mmc (No. 194)
Asymmetric unit:
In1 0.0000 0.0000 0.0000 x2  6 N 2.29
B1 0.3333 0.6667 0.2500 x2  2 N 1.34
N1 0.3333 0.6667 0.1143 x4  1 B 1.34